Entry 1:
The following is a DFT calculation (meta-GGA r2SCAN) of crystalline SiO2 at its relaxed geometry.

Total energy = -9.9348 eV/atom
DFT formation energy = -3029 meV/atom

a = 7.0818 Å, b = 7.0818 Å, c = 7.0818 Å
α = 90.00°, β = 90.00°, γ = 90.00°
Atoms (fractional coordinates):
Si: 0.9780 0.5220 0.4780
Si: 0.0220 0.0220 0.0220
Si: 0.2168 0.7168 0.7832
Si: 0.5220 0.4780 0.9780
Si: 0.2832 0.2832 0.2832
Si: 0.7168 0.7832 0.2168
Si: 0.7832 0.2168 0.7168
Si: 0.4780 0.9780 0.5220
O: 0.8608 0.3365 0.5394
O: 0.1524 0.1524 0.1524
O: 0.3476 0.8476 0.6524
O: 0.3608 0.1635 0.4606
O: 0.5394 0.8608 0.3365
O: 0.8365 0.9606 0.1392
O: 0.0394 0.6392 0.6635
O: 0.6524 0.3476 0.8476
O: 0.6635 0.0394 0.6392
O: 0.1635 0.4606 0.3608
O: 0.8476 0.6524 0.3476
O: 0.3365 0.5394 0.8608
O: 0.1392 0.8365 0.9606
O: 0.4606 0.3608 0.1635
O: 0.9606 0.1392 0.8365
O: 0.6392 0.6635 0.0394

Entry 2:
The following is a DFT calculation (meta-GGA r2SCAN) of crystalline SiH at its relaxed geometry.

Total energy = -6.0783 eV/atom
DFT formation energy = 36 meV/atom

a = 3.8653 Å, b = 3.8653 Å, c = 5.7322 Å
α = 90.00°, β = 90.00°, γ = 120.00°
Atoms (fractional coordinates):
H: 0.6667 0.3333 0.6771
H: 0.3333 0.6667 0.3229
Si: 0.3333 0.6667 0.0628
Si: 0.6667 0.3333 0.9372

Repeat the second record exactly.
The following is a DFT calculation (meta-GGA r2SCAN) of crystalline SiH at its relaxed geometry.

Total energy = -6.0783 eV/atom
DFT formation energy = 36 meV/atom

a = 3.8653 Å, b = 3.8653 Å, c = 5.7322 Å
α = 90.00°, β = 90.00°, γ = 120.00°
Atoms (fractional coordinates):
H: 0.6667 0.3333 0.6771
H: 0.3333 0.6667 0.3229
Si: 0.3333 0.6667 0.0628
Si: 0.6667 0.3333 0.9372

Please write out number 2 again, unchanged.
The following is a DFT calculation (meta-GGA r2SCAN) of crystalline SiH at its relaxed geometry.

Total energy = -6.0783 eV/atom
DFT formation energy = 36 meV/atom

a = 3.8653 Å, b = 3.8653 Å, c = 5.7322 Å
α = 90.00°, β = 90.00°, γ = 120.00°
Atoms (fractional coordinates):
H: 0.6667 0.3333 0.6771
H: 0.3333 0.6667 0.3229
Si: 0.3333 0.6667 0.0628
Si: 0.6667 0.3333 0.9372

What is the formula in the second record?
SiH

Repeat the second record exactly.
The following is a DFT calculation (meta-GGA r2SCAN) of crystalline SiH at its relaxed geometry.

Total energy = -6.0783 eV/atom
DFT formation energy = 36 meV/atom

a = 3.8653 Å, b = 3.8653 Å, c = 5.7322 Å
α = 90.00°, β = 90.00°, γ = 120.00°
Atoms (fractional coordinates):
H: 0.6667 0.3333 0.6771
H: 0.3333 0.6667 0.3229
Si: 0.3333 0.6667 0.0628
Si: 0.6667 0.3333 0.9372